#one
# Li2FeBO4 (PBE+U, optimized geometry)
# - ρ: 3.17 g/cm3
# - Total moment: 20.00 μB/cell
data_Li2FeBO4
_cell_length_a 10.784
_cell_length_b 5.827
_cell_length_c 4.815
_cell_angle_alpha 90.00
_cell_angle_beta 90.00
_cell_angle_gamma 90.00
_symmetry_space_group_name_H-M 'P n m a'
_symmetry_Int_Tables_number 62
_symmetry_space_group_name_Hall '-P 2ac 2n'
loop_
_atom_site_label
_atom_site_fract_x
_atom_site_fract_y
_atom_site_fract_z
_atom_site_occupancy
Li1 0.084 0.003 0.197 1
Fe1 0.178 0.250 0.688 1
B1 0.164 0.750 0.682 1
O1 0.097 0.537 0.780 1
O2 0.167 0.750 0.374 1
O3 0.204 0.250 0.293 1



#two
# Li2FeBO4 (PBE+U, optimized geometry)
# - ρ: 3.18 g/cm3
# - Total moment: 0.00 μB/cell
data_Li2FeBO4
_cell_length_a 8.867
_cell_length_b 4.769
_cell_length_c 14.281
_cell_angle_alpha 90.00
_cell_angle_beta 90.00
_cell_angle_gamma 90.00
_symmetry_space_group_name_H-M 'P c a 21'
_symmetry_Int_Tables_number 29
_symmetry_space_group_name_Hall 'P 2c -2ac'
loop_
_atom_site_label
_atom_site_fract_x
_atom_site_fract_y
_atom_site_fract_z
_atom_site_occupancy
Li1 0.003 0.026 0.000 1
Li2 0.004 0.525 0.610 1
Li3 0.223 0.525 0.717 1
Li4 0.231 0.043 0.815 1
Fe1 0.017 0.481 0.346 1
Fe2 0.232 0.512 0.988 1
B1 0.013 0.975 0.229 1
B2 0.235 0.012 0.622 1
O1 0.001 0.120 0.830 1
O2 0.009 0.717 0.731 1
O3 0.022 0.631 0.973 1
O4 0.108 0.167 0.671 1
O5 0.166 0.883 0.197 1
O6 0.170 0.786 0.562 1
O7 0.177 0.209 0.065 1
O8 0.238 0.448 0.355 1



Which of them is least stable? Easy: #two.